This record from the Materials Project describes an optimized crystal structure of Li2MnBAsO7. The functional is PBE with a Hubbard U.

```
Li2MnBAsO7
1.0
6.396 0.000 0.000
0.000 5.168 0.000
0.000 0.493 8.747
Li Mn B As O
4 2 2 2 14
Cartesian
3.079 4.389 7.036
0.119 4.389 7.036
3.317 1.272 1.711
6.277 1.272 1.711
1.599 1.427 5.904
4.797 4.234 2.843
1.599 1.853 8.277
4.797 3.808 0.470
4.797 1.747 4.998
1.599 3.914 3.749
4.797 4.086 7.912
1.599 0.584 7.645
1.599 2.830 7.248
6.087 1.296 6.028
3.507 1.296 6.028
1.599 4.708 5.266
4.797 3.433 4.637
1.599 2.228 4.110
4.797 0.952 3.481
2.889 4.365 2.719
0.309 4.365 2.719
4.797 2.831 1.499
4.797 5.076 1.102
1.599 1.575 0.835
```

Calculated values
Crystal system ... monoclinic
V ... 289.1 Å³/cell
MP2020-corrected energy ... -7.046 eV/atom
Symmetry ... P2_1/m (11)
Formation energy ... -205.83 kJ per mole of atoms